## K2CuF4 (r2SCAN)

Data for a geometry-optimized K2CuF4 structure.

Geometry as POSCAR:
```
K2CuF4
1.0
-3.692 2.270 -3.871
3.768 -1.147 -4.268
-0.814 -6.841 1.121
K Cu F
4 2 8
Direct
0.642 0.000 0.284
0.858 0.500 0.716
0.142 0.500 0.284
0.358 0.000 0.716
0.000 0.000 0.000
0.500 0.500 0.000
0.768 0.232 0.000
0.268 0.268 0.000
0.732 0.732 0.000
0.232 0.768 0.000
0.347 0.500 0.693
0.153 0.000 0.307
0.847 0.000 0.693
0.653 0.500 0.307
```

Its symmetry is Cmce (64). As for the volume: 15.30 Å³/atom. The excess energy over the best structure of this formula in the dataset is 0.0000 eV/atom. The value obtained for the energy relative to the elements is -2.5486 eV per atom. As for the total energy: -7.6040 eV per atom.